Entry 1:
The following is a DFT calculation (PBE+U) of a geometry-optimized MgMn4Zn2O8 structure.

a = 6.258 Å, b = 6.258 Å, c = 6.258 Å
α = 121.35°, β = 116.90°, γ = 91.56°
Sites, in units of the cell vectors:
Mg 0.000 0.000 0.000
Mn 0.138 0.402 0.736
Mn 0.580 0.080 0.500
Mn 0.667 0.402 0.264
Mn 0.688 0.688 0.000
Zn 0.219 0.503 0.284
Zn 0.219 0.935 0.716
O 0.328 0.625 0.703
O 0.381 0.177 0.204
O 0.439 0.214 0.775
O 0.439 0.664 0.225
O 0.866 0.124 0.258
O 0.866 0.608 0.742
O 0.922 0.625 0.297
O 0.972 0.177 0.796

Computed properties:
Energy with MP2020 corrections: -108.93 eV/cell
Energy of formation: -2757.5 kJ/mol of formula units
Energy above the most stable polymorph in this dataset: 0.99 eV per formula unit

---

Entry 2:
The following is a DFT calculation (PBE+U) of a geometry-optimized MgMn4Zn2O8 structure.

a = 6.097 Å, b = 6.097 Å, c = 6.433 Å
α = 118.19°, β = 118.19°, γ = 58.86°
Sites, in units of the cell vectors:
Mg 0.000 0.000 0.000
Mn 0.115 0.115 0.465
Mn 0.455 0.455 0.493
Mn 0.461 0.461 0.984
Mn 0.786 0.786 0.523
Zn 0.492 0.968 0.000
Zn 0.968 0.492 0.000
O 0.198 0.704 0.744
O 0.212 0.722 0.219
O 0.227 0.227 0.259
O 0.247 0.247 0.828
O 0.676 0.676 0.154
O 0.680 0.680 0.712
O 0.704 0.198 0.744
O 0.722 0.212 0.219

Computed properties:
Energy with MP2020 corrections: -108.99 eV/cell
Energy of formation: -2763.7 kJ/mol of formula units
Energy above the most stable polymorph in this dataset: 0.93 eV per formula unit

---

Entry 3:
The following is a DFT calculation (PBE+U) of a geometry-optimized Mg6MnZnO8 structure.

a = 4.310 Å, b = 4.310 Å, c = 8.600 Å
α = 90.00°, β = 90.00°, γ = 90.00°
Sites, in units of the cell vectors:
Mg 0.000 0.000 0.000
Mg 0.000 0.000 0.500
Mg 0.000 0.500 0.248
Mg 0.000 0.500 0.752
Mg 0.500 0.000 0.248
Mg 0.500 0.000 0.752
Mn 0.500 0.500 0.500
Zn 0.500 0.500 0.000
O 0.000 0.000 0.250
O 0.000 0.000 0.750
O 0.000 0.500 0.000
O 0.000 0.500 0.500
O 0.500 0.000 0.000
O 0.500 0.000 0.500
O 0.500 0.500 0.245
O 0.500 0.500 0.755

Computed properties:
Energy with MP2020 corrections: -103.28 eV/cell
Energy of formation: -4214.0 kJ/mol of formula units

---

Entry 4:
The following is a DFT calculation (PBE+U) of a geometry-optimized MgMn4Zn2O8 structure.

a = 5.998 Å, b = 5.998 Å, c = 6.791 Å
α = 121.19°, β = 121.19°, γ = 62.14°
Sites, in units of the cell vectors:
Mg 0.000 0.000 0.000
Mn 0.000 0.500 0.000
Mn 0.158 0.158 0.470
Mn 0.500 0.000 0.000
Mn 0.842 0.842 0.530
Zn 0.500 0.500 0.000
Zn 0.500 0.500 0.500
O 0.231 0.748 0.214
O 0.252 0.769 0.786
O 0.256 0.256 0.830
O 0.259 0.259 0.269
O 0.741 0.741 0.731
O 0.744 0.744 0.170
O 0.748 0.231 0.214
O 0.769 0.252 0.786

Computed properties:
Energy with MP2020 corrections: -109.47 eV/cell
Energy of formation: -2809.2 kJ/mol of formula units
Energy above the most stable polymorph in this dataset: 0.46 eV per formula unit

---

Entry 5:
The following is a DFT calculation (PBE+U) of a geometry-optimized MgMn4Zn2O8 structure.

a = 6.215 Å, b = 6.255 Å, c = 6.275 Å
α = 93.28°, β = 118.01°, γ = 118.03°
Sites, in units of the cell vectors:
Mg 0.000 0.000 0.000
Mn 0.251 0.843 0.661
Mn 0.266 0.776 0.204
Mn 0.708 0.775 0.200
Mn 0.728 0.321 0.143
Zn 0.491 0.425 0.564
Zn 0.989 0.282 0.700
O 0.205 0.034 0.384
O 0.233 0.093 0.855
O 0.243 0.583 0.449
O 0.272 0.646 0.900
O 0.704 0.076 0.340
O 0.725 0.529 0.394
O 0.755 0.132 0.898
O 0.781 0.609 0.950

Computed properties:
Energy with MP2020 corrections: -108.75 eV/cell
Energy of formation: -2740.5 kJ/mol of formula units
Energy above the most stable polymorph in this dataset: 1.17 eV per formula unit

---

Entry 6:
The following is a DFT calculation (PBE+U) of a geometry-optimized MgMn4Zn2O8 structure.

a = 5.888 Å, b = 6.052 Å, c = 6.247 Å
α = 116.15°, β = 90.40°, γ = 118.63°
Sites, in units of the cell vectors:
Mg 0.000 0.000 0.000
Mn 0.000 0.500 0.000
Mn 0.148 0.314 0.467
Mn 0.500 0.000 0.000
Mn 0.852 0.686 0.533
Zn 0.500 0.000 0.500
Zn 0.500 0.500 0.000
O 0.217 0.469 0.215
O 0.260 0.011 0.244
O 0.263 0.004 0.763
O 0.278 0.577 0.832
O 0.722 0.423 0.168
O 0.737 0.996 0.237
O 0.740 0.989 0.756
O 0.783 0.531 0.785

Computed properties:
Energy with MP2020 corrections: -109.13 eV/cell
Energy of formation: -2776.5 kJ/mol of formula units
Energy above the most stable polymorph in this dataset: 0.80 eV per formula unit

---

Entry 7:
The following is a DFT calculation (PBE+U) of a geometry-optimized MgMn4Zn2O8 structure.

a = 6.020 Å, b = 6.025 Å, c = 6.364 Å
α = 92.10°, β = 116.78°, γ = 118.49°
Sites, in units of the cell vectors:
Mg 0.000 0.000 0.000
Mn 0.000 0.506 0.492
Mn 0.493 0.999 0.989
Mn 0.689 0.866 0.528
Mn 0.998 0.502 0.991
Zn 0.320 0.158 0.457
Zn 0.497 0.500 0.990
O 0.007 0.266 0.776
O 0.014 0.242 0.255
O 0.433 0.733 0.160
O 0.485 0.228 0.220
O 0.519 0.780 0.772
O 0.556 0.266 0.813
O 0.990 0.763 0.742
O 0.996 0.739 0.218

Computed properties:
Energy with MP2020 corrections: -109.86 eV/cell
Energy of formation: -2847.0 kJ/mol of formula units
Energy above the most stable polymorph in this dataset: 0.07 eV per formula unit

---

Entry 8:
The following is a DFT calculation (PBE+U) of a geometry-optimized Na6MgMo2N2O6 structure.

a = 5.436 Å, b = 6.411 Å, c = 7.648 Å
α = 88.16°, β = 88.96°, γ = 88.34°
Sites, in units of the cell vectors:
Na 0.000 0.000 0.000
Na 0.019 0.994 0.473
Na 0.484 0.631 0.505
Na 0.516 0.742 0.960
Na 0.536 0.110 0.278
Na 0.975 0.493 0.745
Mg 0.383 0.367 0.030
Mo 0.468 0.148 0.724
Mo 0.956 0.505 0.244
N 0.146 0.142 0.730
N 0.630 0.493 0.213
O 0.049 0.633 0.449
O 0.119 0.611 0.024
O 0.131 0.231 0.207
O 0.534 0.448 0.779
O 0.562 0.084 0.975
O 0.606 0.985 0.543

Computed properties:
Energy with MP2020 corrections: -102.26 eV/cell
Energy of formation: -2380.9 kJ/mol of formula units
Energy above the most stable polymorph in this dataset: 0.00 eV per formula unit

---

Entry 9:
The following is a DFT calculation (PBE+U) of a geometry-optimized Na8MgMo2N4O4 structure.

a = 5.676 Å, b = 6.094 Å, c = 9.481 Å
α = 85.58°, β = 74.76°, γ = 72.36°
Sites, in units of the cell vectors:
Na 0.000 0.000 0.000
Na 0.041 0.850 0.638
Na 0.111 0.318 0.463
Na 0.315 0.376 0.035
Na 0.423 0.803 0.823
Na 0.548 0.302 0.596
Na 0.640 0.775 0.453
Na 0.737 0.326 0.262
Mg 0.727 0.684 0.068
Mo 0.161 0.802 0.292
Mo 0.938 0.411 0.795
N 0.205 0.153 0.725
N 0.358 0.590 0.394
N 0.760 0.541 0.661
N 0.924 0.037 0.410
O 0.007 0.677 0.881
O 0.369 0.885 0.087
O 0.740 0.371 0.011
O 0.952 0.656 0.203

Computed properties:
Energy with MP2020 corrections: -104.33 eV/cell
Energy of formation: -1671.4 kJ/mol of formula units
Energy above the most stable polymorph in this dataset: 0.00 eV per formula unit

---

Entry 10:
The following is a DFT calculation (PBE+U) of a geometry-optimized Na6MgMo2N2O6 structure.

a = 6.007 Å, b = 7.038 Å, c = 6.536 Å
α = 90.00°, β = 90.44°, γ = 90.00°
Sites, in units of the cell vectors:
Na 0.000 0.000 0.000
Na 0.003 0.288 0.658
Na 0.003 0.712 0.658
Na 0.518 0.500 0.796
Na 0.563 0.246 0.271
Na 0.563 0.754 0.271
Mg 0.157 0.000 0.393
Mo 0.027 0.500 0.148
Mo 0.511 0.000 0.757
N 0.208 0.000 0.694
N 0.740 0.500 0.110
O 0.133 0.249 0.267
O 0.133 0.751 0.267
O 0.149 0.500 0.874
O 0.613 0.000 0.034
O 0.635 0.219 0.624
O 0.635 0.781 0.624

Computed properties:
Energy with MP2020 corrections: -101.09 eV/cell
Energy of formation: -2267.4 kJ/mol of formula units
Energy above the most stable polymorph in this dataset: 1.18 eV per formula unit

---

Entry 11:
The following is a DFT calculation (PBE+U) of a geometry-optimized Na8MgMo2N4O4 structure.

a = 6.018 Å, b = 6.103 Å, c = 9.305 Å
α = 79.23°, β = 71.22°, γ = 67.53°
Sites, in units of the cell vectors:
Na 0.000 0.000 0.000
Na 0.021 0.986 0.638
Na 0.187 0.477 0.450
Na 0.494 0.491 0.022
Na 0.533 0.020 0.914
Na 0.651 0.413 0.583
Na 0.764 0.029 0.335
Na 0.908 0.535 0.211
Mg 0.484 0.859 0.664
Mo 0.078 0.486 0.790
Mo 0.309 0.958 0.298
N 0.032 0.197 0.387
N 0.336 0.218 0.696
N 0.467 0.794 0.445
N 0.839 0.672 0.687
O 0.189 0.766 0.220
O 0.247 0.706 0.818
O 0.545 0.078 0.147
O 0.918 0.405 0.002

Computed properties:
Energy with MP2020 corrections: -103.87 eV/cell
Energy of formation: -1627.1 kJ/mol of formula units
Energy above the most stable polymorph in this dataset: 0.46 eV per formula unit

---

Entry 12:
The following is a DFT calculation (PBE+U) of a geometry-optimized Na6MgMo2N2O6 structure.

a = 5.761 Å, b = 7.157 Å, c = 6.522 Å
α = 90.00°, β = 90.49°, γ = 90.00°
Sites, in units of the cell vectors:
Na 0.000 0.000 0.000
Na 0.055 0.262 0.488
Na 0.055 0.738 0.488
Na 0.505 0.196 0.875
Na 0.505 0.804 0.875
Na 0.563 0.500 0.247
Mg 0.651 0.500 0.707
Mo 0.065 0.500 0.974
Mo 0.550 0.000 0.373
N 0.385 0.500 0.921
N 0.848 0.000 0.336
O 0.401 0.000 0.118
O 0.475 0.224 0.513
O 0.475 0.776 0.513
O 0.876 0.304 0.809
O 0.876 0.696 0.809
O 0.976 0.500 0.267

Computed properties:
Energy with MP2020 corrections: -101.27 eV/cell
Energy of formation: -2284.9 kJ/mol of formula units
Energy above the most stable polymorph in this dataset: 0.99 eV per formula unit

---

Entry 13:
The following is a DFT calculation (PBE+U) of a geometry-optimized Na8MgMo2N4O4 structure.

a = 5.801 Å, b = 6.004 Å, c = 9.427 Å
α = 73.20°, β = 83.82°, γ = 70.84°
Sites, in units of the cell vectors:
Na 0.000 0.000 0.000
Na 0.001 0.339 0.212
Na 0.003 0.772 0.334
Na 0.014 0.536 0.790
Na 0.348 0.878 0.838
Na 0.478 0.853 0.206
Na 0.513 0.298 0.388
Na 0.556 0.737 0.568
Mg 0.587 0.224 0.758
Mo 0.057 0.168 0.545
Mo 0.492 0.374 0.041
N 0.209 0.983 0.419
N 0.273 0.606 0.123
N 0.717 0.145 0.174
N 0.825 0.455 0.451
O 0.346 0.204 0.634
O 0.350 0.184 0.949
O 0.607 0.506 0.823
O 0.934 0.999 0.754

Computed properties:
Energy with MP2020 corrections: -104.27 eV/cell
Energy of formation: -1665.3 kJ/mol of formula units
Energy above the most stable polymorph in this dataset: 0.06 eV per formula unit

---

Entry 14:
The following is a DFT calculation (PBE+U) of a geometry-optimized Na4MgMo4O10 structure.

a = 5.861 Å, b = 5.922 Å, c = 8.462 Å
α = 110.24°, β = 109.94°, γ = 90.46°
Sites, in units of the cell vectors:
Na 0.000 0.000 0.000
Na 0.133 0.247 0.371
Na 0.436 0.545 0.970
Na 0.672 0.673 0.341
Mg 0.654 0.556 0.669
Mo 0.061 0.608 0.162
Mo 0.306 0.990 0.670
Mo 0.567 0.116 0.177
Mo 0.864 0.169 0.670
O 0.160 0.731 0.455
O 0.328 0.363 0.188
O 0.342 0.886 0.210
O 0.374 0.948 0.886
O 0.435 0.298 0.671
O 0.713 0.876 0.671
O 0.760 0.299 0.474
O 0.790 0.335 0.133
O 0.800 0.860 0.157
O 0.954 0.494 0.865

Computed properties:
Energy with MP2020 corrections: -133.57 eV/cell
Energy of formation: -3262.5 kJ/mol of formula units
Energy above the most stable polymorph in this dataset: 1.47 eV per formula unit

---

Entry 15:
The following is a DFT calculation (PBE+U) of a geometry-optimized Na2Mg5Mo6O24 structure.

a = 7.054 Å, b = 8.670 Å, c = 10.400 Å
α = 106.73°, β = 104.63°, γ = 103.08°
Sites, in units of the cell vectors:
Na 0.000 0.000 0.000
Na 0.281 0.790 0.294
Mg 0.032 0.694 0.507
Mg 0.376 0.454 0.100
Mg 0.624 0.545 0.891
Mg 0.718 0.219 0.692
Mg 0.950 0.295 0.475
Mo 0.109 0.584 0.823
Mo 0.215 0.163 0.754
Mo 0.402 0.240 0.368
Mo 0.590 0.769 0.626
Mo 0.781 0.834 0.231
Mo 0.877 0.400 0.159
O 0.013 0.233 0.660
O 0.074 0.554 0.639
O 0.113 0.501 0.137
O 0.153 0.942 0.665
O 0.155 0.799 0.914
O 0.219 0.204 0.934
O 0.240 0.310 0.462
O 0.259 0.027 0.252
O 0.326 0.523 0.909
O 0.337 0.730 0.505
O 0.441 0.356 0.255
O 0.470 0.266 0.752
O 0.530 0.716 0.221
O 0.577 0.665 0.751
O 0.644 0.247 0.498
O 0.663 0.462 0.067
O 0.709 0.998 0.719
O 0.748 0.693 0.532
O 0.787 0.789 0.052
O 0.820 0.183 0.071
O 0.828 0.054 0.322
O 0.864 0.468 0.834
O 0.913 0.438 0.347
O 0.971 0.765 0.333

Computed properties:
Energy with MP2020 corrections: -282.44 eV/cell
Energy of formation: -8488.1 kJ/mol of formula units